Record 1
This record from Materials Project describes an optimized crystal structure of Cd2C9Br7N3. The functional is GGA-PBE.

Geometry as POSCAR:
```
Cd2C9Br7N3
1.0
12.200 0.000 0.000
-6.100 10.565 0.000
0.000 0.000 7.314
Cd C Br N
4 18 14 6
Direct
0.000 0.000 0.979
0.000 0.000 0.479
0.333 0.667 0.345
0.667 0.333 0.845
0.799 0.201 0.093
0.402 0.201 0.093
0.799 0.598 0.093
0.201 0.799 0.593
0.598 0.799 0.593
0.201 0.402 0.593
0.854 0.260 0.442
0.406 0.146 0.442
0.740 0.594 0.442
0.406 0.260 0.442
0.740 0.146 0.442
0.854 0.594 0.442
0.146 0.740 0.942
0.594 0.854 0.942
0.260 0.406 0.942
0.594 0.740 0.942
0.260 0.854 0.942
0.146 0.406 0.942
0.333 0.667 0.980
0.667 0.333 0.480
0.100 0.900 0.227
0.800 0.900 0.227
0.100 0.200 0.227
0.900 0.100 0.727
0.200 0.100 0.727
0.900 0.800 0.727
0.446 0.554 0.497
0.107 0.554 0.497
0.446 0.893 0.497
0.554 0.446 0.997
0.893 0.446 0.997
0.554 0.107 0.997
0.802 0.198 0.261
0.397 0.198 0.261
0.802 0.603 0.261
0.198 0.802 0.761
0.603 0.802 0.761
0.198 0.397 0.761
```

Computed properties:
- E (MP2020): -190.32 eV for the cell shown
- Magnetization: 2.0 μB per formula unit
- Energy of formation: 26.212 eV per formula unit
- V: 22.44 A^3/atom
- Raw total energy: -4.4799 eV per atom
- Space group: No. 186

***

Record 2
This record from Materials Project describes an optimized crystal structure of Re3Sn. The functional is GGA-PBE.

Geometry as POSCAR:
```
Re3Sn
1.0
1.649 -1.186 4.596
-1.959 2.941 3.572
-1.968 -2.659 -3.782
Re Sn
3 1
Direct
0.750 0.250 0.500
0.250 0.750 0.500
0.500 0.500 0.000
0.000 0.000 0.000
```

Computed properties:
- Magnetization: 0.1 μB per formula unit
- Energy of formation: 2.215 eV per formula unit
- V: 16.24 A^3/atom
- Raw total energy: -9.7819 eV per atom
- Space group: No. 139

***

Record 3
This record from Materials Project describes an optimized crystal structure of ZnB2C8N8. The functional is GGA-PBE.

Geometry as POSCAR:
```
ZnB2C8N8
1.0
-4.516 6.050 -0.637
-2.999 -6.950 0.301
-0.320 0.402 6.086
Zn B C N
1 2 8 8
Direct
0.000 0.000 0.500
0.667 0.333 0.149
0.333 0.667 0.851
0.667 0.333 0.890
0.781 0.219 0.238
0.439 0.219 0.238
0.781 0.561 0.238
0.561 0.781 0.762
0.219 0.439 0.762
0.219 0.781 0.762
0.333 0.667 0.110
0.667 0.333 0.699
0.273 0.136 0.303
0.727 0.864 0.697
0.136 0.864 0.697
0.333 0.667 0.301
0.136 0.273 0.697
0.864 0.136 0.303
0.864 0.727 0.303
```

Computed properties:
- E (MP2020): -153.64 eV for the cell shown
- Magnetization: 0.0 μB per formula unit
- Energy of formation: 1.504 eV per formula unit
- V: 15.98 A^3/atom
- Raw total energy: -7.9341 eV per atom
- Space group: No. 164

***

Record 4
This record from Materials Project describes an optimized crystal structure of Er6Al41Cr6. The functional is GGA-PBE.

Geometry as POSCAR:
```
Er6Al41Cr6
1.0
-5.507 9.265 -1.211
-4.670 -9.455 -2.533
-5.972 -1.418 16.304
Er Al Cr
12 82 12
Direct
0.000 0.533 0.402
0.467 0.467 0.402
0.533 0.000 0.402
0.000 0.467 0.598
0.533 0.533 0.598
0.467 0.000 0.598
0.000 0.465 0.904
0.535 0.535 0.904
0.465 0.000 0.904
0.000 0.535 0.096
0.465 0.465 0.096
0.535 0.000 0.096
0.000 0.749 0.972
0.251 0.251 0.972
0.749 0.000 0.972
0.000 0.251 0.028
0.749 0.749 0.028
0.251 0.000 0.028
0.000 0.252 0.470
0.748 0.748 0.470
0.252 0.000 0.470
0.000 0.748 0.530
0.252 0.252 0.530
0.748 0.000 0.530
0.608 0.767 0.335
0.233 0.841 0.335
0.159 0.392 0.335
0.392 0.159 0.335
0.767 0.608 0.335
0.841 0.233 0.335
0.392 0.233 0.665
0.767 0.159 0.665
0.841 0.608 0.665
0.608 0.841 0.665
0.233 0.392 0.665
0.159 0.767 0.665
0.399 0.234 0.839
0.766 0.165 0.839
0.835 0.601 0.839
0.601 0.835 0.839
0.234 0.399 0.839
0.165 0.766 0.839
0.601 0.766 0.161
0.234 0.835 0.161
0.165 0.399 0.161
0.399 0.165 0.161
0.766 0.601 0.161
0.835 0.234 0.161
0.000 0.150 0.249
0.850 0.850 0.249
0.150 0.000 0.249
0.000 0.850 0.751
0.150 0.150 0.751
0.850 0.000 0.751
0.453 0.850 0.247
0.150 0.603 0.247
0.397 0.547 0.247
0.547 0.397 0.247
0.850 0.453 0.247
0.603 0.150 0.247
0.547 0.150 0.753
0.850 0.397 0.753
0.603 0.453 0.753
0.453 0.603 0.753
0.150 0.547 0.753
0.397 0.850 0.753
0.506 0.753 0.500
0.247 0.753 0.500
0.247 0.494 0.500
0.494 0.247 0.500
0.753 0.506 0.500
0.753 0.247 0.500
0.504 0.252 0.000
0.748 0.252 0.000
0.748 0.496 0.000
0.496 0.748 0.000
0.252 0.504 0.000
0.252 0.748 0.000
0.000 0.845 0.385
0.155 0.155 0.385
0.845 0.000 0.385
0.000 0.155 0.615
0.845 0.845 0.615
0.155 0.000 0.615
0.000 0.155 0.884
0.845 0.845 0.884
0.155 0.000 0.884
0.000 0.845 0.116
0.155 0.155 0.116
0.845 0.000 0.116
0.333 0.667 0.373
0.667 0.333 0.373
0.667 0.333 0.627
0.333 0.667 0.627
0.000 0.000 0.500
0.000 0.000 0.000
0.000 0.738 0.251
0.262 0.262 0.251
0.738 0.000 0.251
0.000 0.262 0.749
0.738 0.738 0.749
0.262 0.000 0.749
0.667 0.333 0.866
0.333 0.667 0.866
0.333 0.667 0.134
0.667 0.333 0.134
```

Computed properties:
- Magnetization: 2.0 μB per formula unit
- Energy of formation: -14.646 eV per formula unit
- V: 16.74 A^3/atom
- Raw total energy: -4.7838 eV per atom
- Space group: No. 162

***

Record 5
This record from Materials Project describes an optimized crystal structure of Sb2O3. The functional is GGA-PBE.

Geometry as POSCAR:
```
Sb2O3
1.0
0.000 5.746 5.746
5.746 0.000 5.746
5.746 5.746 0.000
Sb O
8 12
Direct
0.913 0.362 0.362
0.888 0.337 0.888
0.888 0.888 0.337
0.888 0.888 0.888
0.362 0.362 0.913
0.362 0.362 0.362
0.362 0.913 0.362
0.337 0.888 0.888
0.815 0.815 0.185
0.065 0.065 0.435
0.185 0.815 0.185
0.185 0.815 0.815
0.815 0.185 0.185
0.815 0.185 0.815
0.065 0.435 0.065
0.435 0.065 0.435
0.185 0.185 0.815
0.435 0.065 0.065
0.065 0.435 0.435
0.435 0.435 0.065
```

Computed properties:
- E (MP2020): -127.27 eV for the cell shown
- Energy of formation: -8.716 eV per formula unit
- V: 18.97 A^3/atom
- Raw total energy: -5.9514 eV per atom
- Space group: No. 227

***

Record 6
This record from Materials Project describes an optimized crystal structure of Te2Mo2WSe4. The functional is GGA-PBE.

Geometry as POSCAR:
```
Te2Mo2WSe4
1.0
1.699 -2.943 0.000
1.699 2.943 0.000
0.000 0.000 31.414
Te Mo W Se
2 2 1 4
Direct
0.333 0.667 0.056
0.333 0.667 0.175
0.000 0.000 0.116
0.333 0.667 0.347
0.000 0.000 0.578
0.000 0.000 0.399
0.333 0.667 0.526
0.333 0.667 0.631
0.000 0.000 0.294
```

Computed properties:
- E (MP2020): -61.09 eV for the cell shown
- Magnetization: 0.0 μB per formula unit
- Energy of formation: -6.173 eV per formula unit
- V: 34.91 A^3/atom
- Raw total energy: -6.5783 eV per atom
- Space group: No. 156

***

Record 7
This record from Materials Project describes an optimized crystal structure of UNi2P2. The functional is GGA-PBE.

Geometry as POSCAR:
```
UNi2P2
1.0
-1.858 1.858 5.016
1.858 -1.858 5.016
1.858 1.858 -5.016
U Ni P
1 2 2
Direct
0.000 0.000 0.000
0.250 0.750 0.500
0.750 0.250 0.500
0.619 0.619 0.000
0.381 0.381 0.000
```

Computed properties:
- Energy of formation: -3.792 eV per formula unit
- V: 13.85 A^3/atom
- Raw total energy: -7.4941 eV per atom
- Space group: No. 139

***

Record 8
This record from Materials Project describes an optimized crystal structure of ThPb3. The functional is GGA-PBE.

Geometry as POSCAR:
```
ThPb3
1.0
-3.775 2.688 -1.668
-3.084 -3.706 1.008
-0.705 1.817 4.524
Th Pb
1 3
Direct
0.000 0.000 0.000
0.000 0.500 0.500
0.500 0.500 0.000
0.500 0.000 0.500
```

Computed properties:
- Energy of formation: -0.947 eV per formula unit
- V: 29.88 A^3/atom
- Raw total energy: -4.8748 eV per atom
- Space group: No. 221

***

Record 9
This record from Materials Project describes an optimized crystal structure of Ba9Sm6Cl34. The functional is GGA-PBE.

Geometry as POSCAR:
```
Ba9Sm6Cl34
1.0
4.857 -1.947 12.436
-2.166 11.390 6.900
-8.497 -7.509 -7.312
Ba Sm Cl
9 6 34
Direct
0.794 0.974 0.453
0.026 0.479 0.819
0.659 0.206 0.181
0.206 0.026 0.547
0.479 0.659 0.453
0.974 0.521 0.181
0.500 0.500 0.000
0.341 0.794 0.819
0.521 0.341 0.547
0.814 0.814 0.000
0.681 0.106 0.787
0.319 0.894 0.213
0.186 0.186 0.000
0.106 0.319 0.425
0.894 0.681 0.575
0.550 0.652 0.721
0.924 0.424 0.500
0.076 0.576 0.500
0.332 0.634 0.126
0.141 0.723 0.864
0.450 0.348 0.279
0.723 0.859 0.582
0.330 0.051 0.139
0.652 0.932 0.102
0.912 0.191 0.861
0.170 0.450 0.102
0.348 0.068 0.898
0.576 0.076 0.500
0.492 0.794 0.126
0.949 0.088 0.279
0.668 0.366 0.874
0.191 0.330 0.279
0.424 0.924 0.500
0.277 0.141 0.418
0.051 0.912 0.721
0.250 0.750 0.500
0.068 0.170 0.721
0.508 0.206 0.874
0.206 0.332 0.697
0.809 0.670 0.721
0.859 0.277 0.136
0.088 0.809 0.139
0.794 0.668 0.303
0.670 0.949 0.861
0.366 0.492 0.697
0.634 0.508 0.303
0.830 0.550 0.898
0.932 0.830 0.279
0.750 0.250 0.500
```

Computed properties:
- E (MP2020): -245.79 eV for the cell shown
- Magnetization: 1.7 μB per formula unit
- Energy of formation: -137.356 eV per formula unit
- V: 28.53 A^3/atom
- Raw total energy: -4.5900 eV per atom
- Space group: No. 87

***

Record 10
This record from Materials Project describes an optimized crystal structure of Lu12In2Fe3. The functional is GGA-PBE.

Geometry as POSCAR:
```
Lu12In2Fe3
1.0
-5.322 -5.475 -2.948
0.977 -0.824 8.085
-2.894 7.506 -1.512
Lu In Fe
12 2 3
Direct
0.306 0.306 0.613
0.694 0.694 0.387
0.694 0.306 0.000
0.306 0.694 0.000
0.192 0.428 0.236
0.808 0.572 0.764
0.192 0.956 0.764
0.956 0.192 0.764
0.808 0.044 0.236
0.044 0.808 0.236
0.428 0.192 0.236
0.572 0.808 0.764
0.000 0.500 0.500
0.500 0.000 0.500
0.383 0.383 0.000
0.617 0.617 0.000
0.000 0.000 0.000
```

Computed properties:
- Energy of formation: -3.535 eV per formula unit
- V: 24.81 A^3/atom
- Raw total energy: -5.2176 eV per atom
- Space group: No. 139

***

Record 11
This record from Materials Project describes an optimized crystal structure of Bi9I2. The functional is GGA-PBE.

Geometry as POSCAR:
```
Bi9I2
1.0
4.484 0.000 0.000
0.000 13.528 0.000
0.000 6.523 14.003
Bi I
18 4
Direct
0.250 0.504 0.667
0.750 0.496 0.333
0.250 0.615 0.190
0.750 0.385 0.810
0.250 0.806 0.249
0.750 0.194 0.751
0.250 0.074 0.893
0.750 0.926 0.107
0.250 0.877 0.839
0.750 0.123 0.161
0.250 0.241 0.018
0.750 0.759 0.982
0.250 0.439 0.071
0.750 0.561 0.929
0.750 0.301 0.280
0.250 0.699 0.720
0.750 0.817 0.573
0.250 0.183 0.427
0.750 0.663 0.466
0.250 0.337 0.534
0.750 0.014 0.627
0.250 0.986 0.373
```

Computed properties:
- E (MP2020): -79.56 eV for the cell shown
- Energy of formation: -1.721 eV per formula unit
- V: 38.61 A^3/atom
- Raw total energy: -3.5474 eV per atom
- Space group: No. 11

***

Record 12
This record from Materials Project describes an optimized crystal structure of Ba2LaReO6. The functional is GGA-PBE.

Geometry as POSCAR:
```
Ba2LaReO6
1.0
0.000 4.345 4.345
4.345 0.000 4.345
4.345 4.345 0.000
Ba La Re O
2 1 1 6
Direct
0.750 0.750 0.750
0.250 0.250 0.250
0.500 0.500 0.500
0.000 0.000 0.000
0.772 0.772 0.228
0.772 0.228 0.772
0.228 0.772 0.228
0.772 0.228 0.228
0.228 0.228 0.772
0.228 0.772 0.772
```

Computed properties:
- E (MP2020): -80.52 eV for the cell shown
- Magnetization: 2.0 μB per formula unit
- Energy of formation: -29.618 eV per formula unit
- V: 16.40 A^3/atom
- Raw total energy: -7.6402 eV per atom
- Space group: No. 225

***

Question: Among the records above, which one has the lowest raw total energy?
Answer: Re3Sn

***

Question: What is the formula in the twelfth record?
Answer: Ba2LaReO6

***

Question: Which formula does entry 7 have?
Answer: UNi2P2

***

Please write out number 3 again, unchanged.
This record from Materials Project describes an optimized crystal structure of ZnB2C8N8. The functional is GGA-PBE.

Geometry as POSCAR:
```
ZnB2C8N8
1.0
-4.516 6.050 -0.637
-2.999 -6.950 0.301
-0.320 0.402 6.086
Zn B C N
1 2 8 8
Direct
0.000 0.000 0.500
0.667 0.333 0.149
0.333 0.667 0.851
0.667 0.333 0.890
0.781 0.219 0.238
0.439 0.219 0.238
0.781 0.561 0.238
0.561 0.781 0.762
0.219 0.439 0.762
0.219 0.781 0.762
0.333 0.667 0.110
0.667 0.333 0.699
0.273 0.136 0.303
0.727 0.864 0.697
0.136 0.864 0.697
0.333 0.667 0.301
0.136 0.273 0.697
0.864 0.136 0.303
0.864 0.727 0.303
```

Computed properties:
- E (MP2020): -153.64 eV for the cell shown
- Magnetization: 0.0 μB per formula unit
- Energy of formation: 1.504 eV per formula unit
- V: 15.98 A^3/atom
- Raw total energy: -7.9341 eV per atom
- Space group: No. 164